# 1
UH6Br2O5 | PBE | optimized geometry

Values from the calculation:
E_form ... -39.2 kcal/mol of atoms

Cell: 9.9367 6.7083 12.8882 Å, 90.00 91.39 90.00°
Positions (direct):
U  0.2492  0.0846  0.4204
U  0.2492  0.4154  0.9204
U  0.7508  0.5846  0.0796
U  0.7508  0.9154  0.5796
H  0.0432  0.7479  0.4685
H  0.0432  0.7521  0.9685
H  0.0842  0.7119  0.3531
H  0.0842  0.7881  0.8531
H  0.2033  0.7111  0.1149
H  0.2033  0.7889  0.6149
H  0.2568  0.5061  0.1584
H  0.2568  0.9939  0.6584
H  0.3194  0.1484  0.1080
H  0.3194  0.3516  0.6080
H  0.4530  0.2229  0.5838
H  0.4530  0.2771  0.0838
H  0.5470  0.7229  0.9162
H  0.5470  0.7771  0.4162
H  0.6806  0.6484  0.3920
H  0.6806  0.8516  0.8920
H  0.7432  0.0061  0.3416
H  0.7432  0.4939  0.8416
H  0.7967  0.2111  0.3851
H  0.7967  0.2889  0.8851
H  0.9158  0.2119  0.1469
H  0.9158  0.2881  0.6469
H  0.9568  0.2479  0.0315
H  0.9568  0.2521  0.5315
Br  0.1509  0.0041  0.2071
Br  0.1509  0.4959  0.7071
Br  0.3634  0.0948  0.8102
Br  0.3634  0.4052  0.3102
Br  0.6366  0.5948  0.6898
Br  0.6366  0.9052  0.1898
Br  0.8491  0.5041  0.2929
Br  0.8491  0.9959  0.7929
O  0.0991  0.2283  0.4467
O  0.0991  0.2717  0.9467
O  0.1178  0.7358  0.9197
O  0.1178  0.7642  0.4197
O  0.2184  0.5708  0.0952
O  0.2184  0.9292  0.5952
O  0.3648  0.2309  0.0555
O  0.3648  0.2691  0.5555
O  0.3997  0.5617  0.9033
O  0.3997  0.9383  0.4033
O  0.6003  0.0617  0.5967
O  0.6003  0.4383  0.0967
O  0.6352  0.7309  0.4445
O  0.6352  0.7691  0.9445
O  0.7816  0.0708  0.4048
O  0.7816  0.4292  0.9048
O  0.8822  0.2358  0.5803
O  0.8822  0.2642  0.0803
O  0.9009  0.7283  0.0533
O  0.9009  0.7717  0.5533

# 2
P2Pb3O8 | PBE | optimized geometry

Values from the calculation:
E_form ... -53.1 kcal/mol of atoms
Energy above the lowest structure with this stoichiometry ... 35 meV per atom

Cell: 5.5431 5.5431 7.5810 Å, 111.39 111.39 61.17°
Positions (direct):
P  0.0958  0.0958  0.2917
P  0.9042  0.9042  0.7083
Pb  0.2779  0.2779  0.8583
Pb  0.5000  0.5000  0.5000
Pb  0.7221  0.7221  0.1417
O  0.1760  0.1760  0.5174
O  0.2151  0.7661  0.2168
O  0.2217  0.2217  0.2114
O  0.2339  0.7849  0.7832
O  0.7661  0.2151  0.2168
O  0.7783  0.7783  0.7886
O  0.7849  0.2339  0.7832
O  0.8240  0.8240  0.4826

Result set for volume: 15.3; 14.2 Å³/atom, one per record in the order listed.